Material: Tb4CdPd
Method: DFT, r2SCAN
State: relaxed

abc: 9.6909 9.6909 9.6909
angles: 60.00 60.00 60.00
Last column: nearest neighbours and their distance in Å.
Atoms (fractional coordinates):
Tb (0.0600, 0.0600, 0.4400)  2 Pd 2.87
Tb (0.0600, 0.4400, 0.0600)  2 Pd 2.87
Tb (0.0600, 0.4400, 0.4400)  2 Pd 2.87
Tb (0.1847, 0.1847, 0.8153)  2 Cd 3.27, 2 Pd 3.53, 10 Tb 3.53-3.64
Tb (0.1847, 0.8153, 0.1847)  2 Cd 3.27, 2 Pd 3.53, 10 Tb 3.53-3.64
Tb (0.1847, 0.8153, 0.8153)  2 Cd 3.27, 2 Pd 3.53, 10 Tb 3.53-3.64
Tb (0.1894, 0.6035, 0.6035)  3 Pd 2.87
Tb (0.4400, 0.0600, 0.0600)  2 Pd 2.87
Tb (0.4400, 0.0600, 0.4400)  2 Pd 2.87
Tb (0.4400, 0.4400, 0.0600)  2 Pd 2.87
Tb (0.6035, 0.1894, 0.6035)  3 Pd 2.87
Tb (0.6035, 0.6035, 0.1894)  3 Pd 2.87
Tb (0.6035, 0.6035, 0.6035)  3 Pd 2.87
Tb (0.8153, 0.1847, 0.1847)  2 Cd 3.27, 2 Pd 3.53, 10 Tb 3.53-3.64
Tb (0.8153, 0.1847, 0.8153)  2 Cd 3.27, 2 Pd 3.53, 10 Tb 3.53-3.64
Tb (0.8153, 0.8153, 0.1847)  2 Cd 3.27, 2 Pd 3.53, 10 Tb 3.53-3.64
Cd (0.5055, 0.8315, 0.8315)  3 Cd 3.16, 9 Tb 3.27-3.51
Cd (0.8315, 0.5055, 0.8315)  3 Cd 3.16, 9 Tb 3.27-3.51
Cd (0.8315, 0.8315, 0.5055)  3 Cd 3.16, 9 Tb 3.27-3.51
Cd (0.8315, 0.8315, 0.8315)  3 Cd 3.16, 9 Tb 3.27-3.51
Pd (0.3944, 0.3944, 0.3944)  6 Tb 2.87
Pd (0.3944, 0.3944, 0.8168)  6 Tb 2.87
Pd (0.3944, 0.8168, 0.3944)  6 Tb 2.87
Pd (0.8168, 0.3944, 0.3944)  6 Tb 2.87

- V (A^3/atom) = 26.8
- size of the total moment (μB per atom) = 0.000
- calculated formation energy (eV per atom) = -0.495
- space-group type = F-43m
- E_tot (eV per cell) = -683.77